No. 1
{
  "formula": "Na2CdO2",
  "functional": "r2SCAN",
  "state": "optimized geometry",
  "lattice_angstrom": [[3.677, -8.465, 0.639], [8.369, 0.490, 3.911], [2.849, -4.824, 9.116]],
  "species": ["Na", "Na", "Na", "Na", "Na", "Na", "Na", "Na", "Na", "Na", "Na", "Na", "Na", "Na", "Na", "Na", "Cd", "Cd", "Cd", "Cd", "Cd", "Cd", "Cd", "Cd", "O", "O", "O", "O", "O", "O", "O", "O", "O", "O", "O", "O", "O", "O", "O", "O"],
  "fractional_positions": [[0.038, 0.240, 0.473], [0.456, 0.270, 0.256], [0.028, 0.781, 0.699], [0.728, 0.458, 0.521], [0.219, 0.972, 0.301], [0.542, 0.272, 0.479], [0.760, 0.962, 0.527], [0.730, 0.544, 0.744], [0.513, 0.218, 0.983], [0.225, 0.510, 0.474], [0.287, 0.993, 0.703], [0.984, 0.271, 0.223], [0.007, 0.713, 0.297], [0.729, 0.016, 0.777], [0.490, 0.775, 0.526], [0.782, 0.487, 0.017], [0.232, 0.045, 0.985], [0.268, 0.465, 0.750], [0.768, 0.038, 0.214], [0.479, 0.723, 0.000], [0.277, 0.521, 0.000], [0.962, 0.232, 0.786], [0.535, 0.732, 0.250], [0.955, 0.768, 0.015], [0.962, 0.459, 0.545], [0.002, 0.999, 0.759], [0.728, 0.272, 0.000], [0.783, 0.217, 0.500], [0.254, 0.256, 0.210], [0.241, 0.248, 0.733], [0.541, 0.038, 0.455], [0.001, 0.998, 0.241], [0.456, 0.954, 0.041], [0.501, 0.513, 0.242], [0.487, 0.499, 0.758], [0.752, 0.759, 0.267], [0.744, 0.746, 0.790], [0.288, 0.712, 0.500], [0.221, 0.779, 0.000], [0.046, 0.544, 0.959]],
  "crystal_system": "monoclinic",
  "volume_a3_per_atom": 15.264
}

No. 2
{
  "formula": "ZrSiPt",
  "functional": "r2SCAN",
  "state": "optimized geometry",
  "lattice_angstrom": [[-2.195, 2.531, 5.722], [-3.564, 0.428, -1.556], [-1.863, -6.943, 2.356]],
  "species": ["Zr", "Zr", "Zr", "Zr", "Si", "Si", "Si", "Si", "Pt", "Pt", "Pt", "Pt"],
  "fractional_positions": [[0.476, 0.750, 0.178], [0.976, 0.750, 0.322], [0.024, 0.250, 0.678], [0.524, 0.250, 0.822], [0.764, 0.250, 0.122], [0.264, 0.250, 0.378], [0.736, 0.750, 0.622], [0.236, 0.750, 0.878], [0.145, 0.250, 0.065], [0.645, 0.250, 0.435], [0.355, 0.750, 0.565], [0.855, 0.750, 0.935]],
  "crystal_system": "orthorhombic",
  "volume_a3_per_atom": 16.354
}

No. 3
{
  "formula": "CeAl20V2",
  "functional": "r2SCAN",
  "state": "optimized geometry",
  "lattice_angstrom": [[0.000, 7.202, 7.202], [7.202, 0.000, 7.202], [7.202, 7.202, 0.000]],
  "species": ["Ce", "Ce", "Al", "Al", "Al", "Al", "Al", "Al", "Al", "Al", "Al", "Al", "Al", "Al", "Al", "Al", "Al", "Al", "Al", "Al", "Al", "Al", "Al", "Al", "Al", "Al", "Al", "Al", "Al", "Al", "Al", "Al", "Al", "Al", "Al", "Al", "Al", "Al", "Al", "Al", "Al", "Al", "V", "V", "V", "V"],
  "fractional_positions": [[0.500, 0.500, 0.500], [0.750, 0.750, 0.750], [0.863, 0.863, 0.137], [0.137, 0.137, 0.863], [0.863, 0.137, 0.863], [0.137, 0.863, 0.137], [0.137, 0.863, 0.863], [0.863, 0.137, 0.137], [0.387, 0.387, 0.113], [0.113, 0.113, 0.387], [0.387, 0.113, 0.387], [0.113, 0.387, 0.113], [0.113, 0.387, 0.387], [0.387, 0.113, 0.113], [0.568, 0.300, 0.300], [0.300, 0.568, 0.833], [0.300, 0.833, 0.568], [0.833, 0.300, 0.300], [0.300, 0.300, 0.568], [0.568, 0.833, 0.300], [0.833, 0.568, 0.300], [0.300, 0.300, 0.833], [0.300, 0.568, 0.300], [0.833, 0.300, 0.568], [0.568, 0.300, 0.833], [0.300, 0.833, 0.300], [0.682, 0.950, 0.950], [0.950, 0.682, 0.417], [0.950, 0.417, 0.682], [0.417, 0.950, 0.950], [0.950, 0.950, 0.682], [0.682, 0.417, 0.950], [0.417, 0.682, 0.950], [0.950, 0.950, 0.417], [0.950, 0.682, 0.950], [0.417, 0.950, 0.682], [0.682, 0.950, 0.417], [0.950, 0.417, 0.950], [0.125, 0.625, 0.625], [0.625, 0.125, 0.625], [0.625, 0.625, 0.125], [0.625, 0.625, 0.625], [0.625, 0.125, 0.125], [0.125, 0.625, 0.125], [0.125, 0.125, 0.625], [0.125, 0.125, 0.125]],
  "crystal_system": "cubic",
  "volume_a3_per_atom": 16.244
}

No. 4
{
  "formula": "PH4Br",
  "functional": "r2SCAN",
  "state": "optimized geometry",
  "lattice_angstrom": [[4.372, 0.000, 0.000], [0.000, 6.005, 0.000], [0.000, 0.000, 6.005]],
  "species": ["P", "P", "H", "H", "H", "H", "H", "H", "H", "H", "Br", "Br"],
  "fractional_positions": [[0.000, 0.250, 0.750], [0.000, 0.750, 0.250], [0.812, 0.939, 0.250], [0.812, 0.250, 0.561], [0.188, 0.439, 0.750], [0.188, 0.750, 0.439], [0.188, 0.750, 0.061], [0.188, 0.061, 0.750], [0.812, 0.561, 0.250], [0.812, 0.250, 0.939], [0.389, 0.250, 0.250], [0.611, 0.750, 0.750]],
  "crystal_system": "tetragonal",
  "volume_a3_per_atom": 13.139
}

No. 5
{
  "formula": "Eu2TlCl5",
  "functional": "r2SCAN",
  "state": "optimized geometry",
  "lattice_angstrom": [[7.820, 0.000, 0.000], [0.000, 8.915, -0.038], [0.000, 0.020, 12.590]],
  "species": ["Eu", "Eu", "Eu", "Eu", "Eu", "Eu", "Eu", "Eu", "Tl", "Tl", "Tl", "Tl", "Cl", "Cl", "Cl", "Cl", "Cl", "Cl", "Cl", "Cl", "Cl", "Cl", "Cl", "Cl", "Cl", "Cl", "Cl", "Cl", "Cl", "Cl", "Cl", "Cl"],
  "fractional_positions": [[0.475, 0.999, 0.822], [0.525, 0.001, 0.178], [0.975, 0.001, 0.678], [0.025, 0.999, 0.322], [0.429, 0.751, 0.506], [0.571, 0.249, 0.494], [0.929, 0.249, 0.994], [0.071, 0.751, 0.006], [0.459, 0.491, 0.833], [0.541, 0.509, 0.167], [0.959, 0.509, 0.667], [0.041, 0.491, 0.333], [0.335, 0.464, 0.590], [0.665, 0.536, 0.410], [0.835, 0.536, 0.910], [0.165, 0.464, 0.090], [0.668, 0.788, 0.682], [0.332, 0.212, 0.318], [0.168, 0.212, 0.818], [0.832, 0.788, 0.182], [0.192, 0.775, 0.783], [0.808, 0.225, 0.217], [0.692, 0.225, 0.717], [0.308, 0.775, 0.283], [0.048, 0.787, 0.503], [0.952, 0.213, 0.497], [0.548, 0.213, 0.997], [0.452, 0.787, 0.003], [0.839, 0.960, 0.900], [0.161, 0.040, 0.100], [0.339, 0.040, 0.600], [0.661, 0.960, 0.400]],
  "crystal_system": "monoclinic",
  "volume_a3_per_atom": 27.427
}

No. 6
{
  "formula": "Y2CoRu3",
  "functional": "r2SCAN",
  "state": "optimized geometry",
  "lattice_angstrom": [[0.472, 2.084, 4.794], [-4.013, 2.671, 2.077], [-2.696, -2.062, 4.004]],
  "species": ["Y", "Y", "Co", "Ru", "Ru", "Ru"],
  "fractional_positions": [[0.124, 0.124, 0.124], [0.876, 0.876, 0.876], [0.500, 0.500, 0.500], [0.500, 0.000, 0.500], [0.000, 0.500, 0.500], [0.500, 0.500, 0.000]],
  "crystal_system": "trigonal",
  "volume_a3_per_atom": 17.180
}

No. 7
{
  "formula": "CaGa2Ni",
  "functional": "r2SCAN",
  "state": "optimized geometry",
  "lattice_angstrom": [[-2.875, 4.783, -0.218], [0.534, -4.379, 3.425], [5.120, 3.230, 3.331]],
  "species": ["Ca", "Ca", "Ga", "Ga", "Ga", "Ga", "Ni", "Ni"],
  "fractional_positions": [[0.555, 0.445, 0.750], [0.445, 0.555, 0.250], [0.835, 0.165, 0.943], [0.165, 0.835, 0.057], [0.835, 0.165, 0.557], [0.165, 0.835, 0.443], [0.719, 0.281, 0.250], [0.281, 0.719, 0.750]],
  "crystal_system": "orthorhombic",
  "volume_a3_per_atom": 17.983
}

No. 8
{
  "formula": "RbFeCl3",
  "functional": "r2SCAN",
  "state": "optimized geometry",
  "lattice_angstrom": [[4.930, 0.000, 0.000], [0.000, 4.930, 0.000], [0.000, 0.000, 4.930]],
  "species": ["Rb", "Fe", "Cl", "Cl", "Cl"],
  "fractional_positions": [[0.500, 0.500, 0.500], [0.000, 0.000, 0.000], [0.500, 0.000, 0.000], [0.000, 0.500, 0.000], [0.000, 0.000, 0.500]],
  "crystal_system": "cubic",
  "volume_a3_per_atom": 23.966
}

| no. | formation energy from the elements (eV per atom) | DFT total energy (Ry per atom) |
| --- | --- | --- |
| 1 | -1.34 | -0.6744 |
| 2 | -1.25 | -2.1255 |
| 3 | -0.24 | -0.6367 |
| 4 | -0.23 | -0.4589 |
| 5 | -2.31 | -1.6485 |
| 6 | -0.27 | -1.6142 |
| 7 | -0.53 | -0.8090 |
| 8 | -1.44 | -0.7940 |